# 1
GGA-PBE Ga5Ag13, optimized geometry; E_form = -27 meV per atom; V = 317 Å³/cell; space group = P1, No. 1
1.0
2.974 0.000 0.000
0.041 7.899 0.000
0.016 0.012 13.482
Ag Ga
13 5
direct
0.750 0.500 0.833 Ag
0.748 0.860 0.825 Ag
0.747 0.306 0.657 Ag
0.747 0.332 0.018 Ag
0.253 0.647 0.671 Ag
0.748 0.809 0.160 Ag
0.253 0.669 0.988 Ag
0.749 0.356 0.325 Ag
0.252 0.165 0.484 Ag
0.253 0.690 0.340 Ag
0.252 0.144 0.176 Ag
0.253 0.185 0.841 Ag
0.748 0.835 0.515 Ag
0.999 0.000 0.999 Ga
0.999 0.500 0.500 Ga
0.250 0.000 0.667 Ga
0.249 0.501 0.167 Ga
0.750 0.000 0.333 Ga


# 2
GGA-PBE Tm2InPd2, optimized geometry; E_form = -886 meV per atom; V = 216 Å³/cell; space group = P4/mbm, No. 127
1.0
-0.412 -4.901 -5.909
0.172 -5.922 4.900
-3.653 0.062 0.203
In Tm Pd
2 4 4
direct
0.500 0.500 0.000 In
0.000 0.000 0.000 In
0.672 0.172 0.500 Tm
0.172 0.328 0.500 Tm
0.328 0.828 0.500 Tm
0.828 0.672 0.500 Tm
0.628 0.872 0.000 Pd
0.872 0.372 0.000 Pd
0.128 0.628 0.000 Pd
0.372 0.128 0.000 Pd


# 3
GGA-PBE BaTa6O16, optimized geometry; E_form = -3380 meV per atom; V = 311 Å³/cell; total energy after the MP2020 corrections = -0.367 Ha/atom; space group = Amm2, No. 38
1.0
-2.103 7.135 -5.469
-7.030 -5.952 0.630
-1.385 1.964 3.095
Ta O Ba
6 16 1
direct
0.008 0.992 0.000 Ta
0.001 0.631 0.000 Ta
0.248 0.380 0.000 Ta
0.795 0.205 0.000 Ta
0.369 0.999 0.000 Ta
0.620 0.752 0.000 Ta
0.372 0.003 0.500 O
0.631 0.725 0.500 O
0.824 0.432 0.000 O
0.018 0.228 0.000 O
0.247 0.149 0.000 O
0.772 0.982 0.000 O
0.143 0.857 0.000 O
0.163 0.538 0.000 O
0.275 0.369 0.500 O
0.787 0.213 0.500 O
0.851 0.753 0.000 O
0.997 0.628 0.500 O
0.568 0.176 0.000 O
0.477 0.523 0.000 O
0.004 0.996 0.500 O
0.462 0.837 0.000 O
0.600 0.400 0.500 Ba


# 4
GGA-PBE Cs3Ge4Au, optimized geometry; E_form = -274 meV per atom; V = 610 Å³/cell; space group = Pmmn, No. 59
1.0
6.249 0.000 0.000
0.000 7.342 0.000
0.000 0.000 13.286
Ge Cs Au
8 6 2
direct
0.663 0.000 0.605 Ge
0.337 0.500 0.105 Ge
0.337 0.500 0.895 Ge
0.067 0.688 0.000 Ge
0.933 0.812 0.500 Ge
0.933 0.188 0.500 Ge
0.663 0.000 0.395 Ge
0.067 0.312 0.000 Ge
0.427 0.500 0.500 Cs
0.843 0.500 0.266 Cs
0.843 0.500 0.734 Cs
0.157 0.000 0.766 Cs
0.157 0.000 0.234 Cs
0.573 0.000 0.000 Cs
0.700 0.500 0.000 Au
0.300 0.000 0.500 Au


# 5
GGA-PBE KLaMg6, optimized geometry; E_form = 171 meV per atom; V = 460 Å³/cell
1.0
5.421 0.000 0.000
0.000 7.058 0.000
0.000 0.000 12.035
Mg K La
12 2 2
direct
0.000 0.500 0.148 Mg
0.000 0.725 0.417 Mg
0.500 0.000 0.834 Mg
0.500 0.748 0.087 Mg
0.000 0.275 0.417 Mg
0.500 0.248 0.587 Mg
0.000 0.775 0.917 Mg
0.500 0.752 0.587 Mg
0.000 0.225 0.917 Mg
0.500 0.252 0.087 Mg
0.500 0.500 0.334 Mg
0.000 0.000 0.648 Mg
0.500 0.000 0.350 K
0.500 0.500 0.850 K
0.000 0.500 0.659 La
0.000 0.000 0.159 La


> The highest V belongs to which entry?

Cs3Ge4Au